Record 1
Material: Na10Hf4Ga4Si7S5O48
Method: DFT, GGA-PBE
State: optimized geometry

Values from the calculation:
M_tot   0.000 μB/atom
Total energy after the MP2020 corrections   -7.301 eV per atom
Crystal system   triclinic
Final energy   -6.878 eV per atom
Space-group type   No. 1
Energy relative to the elements   -2.669 eV per atom

The structure in extended XYZ format:
```
234
Lattice="8.9104 0.0000 0.0000 -0.0422 15.5693 0.0000 -0.1035 -0.5084 22.4973" Properties=species:S:1:pos:R:3 pbc="T T T"
Na 0.0000 0.0000 0.0000
Na -0.0460 4.9913 7.4543
Na 1.0263 13.1407 1.6057
Na 1.0557 2.7206 9.1271
Na 1.1327 7.5318 16.5281
Na 1.1552 12.9637 12.7488
Na 1.2096 2.6223 20.3197
Na 1.2945 7.8581 5.3805
Na 2.3810 10.2877 3.7808
Na 2.6429 9.9231 18.3898
Na 2.7445 -0.0076 18.3580
Na 2.8340 5.4883 3.4322
Na 3.8439 13.0177 14.5797
Na 3.8674 2.4873 22.1695
Na 3.8868 12.4394 22.1936
Na 4.0065 2.3937 7.1279
Na 4.3430 2.2538 14.9160
Na 5.3196 10.5845 9.0299
Na 5.6184 5.4435 1.6342
Na 5.6398 0.1642 5.2247
Na 5.6022 -0.2732 16.5622
Na 5.6423 5.1803 12.7353
Na 5.7522 10.3277 20.2906
Na 7.1313 2.0937 18.3854
Na 7.2487 13.2922 3.3840
Na 7.1968 7.7963 18.2594
Na 8.3273 5.2373 14.5616
Na 8.4019 0.2281 7.0138
Na 8.4511 10.1460 7.1472
Na 8.7837 10.0449 14.9131
Hf 0.9973 2.4163 12.4328
Hf 1.0412 12.9431 4.9676
Hf 1.0303 7.3393 19.9821
Hf 1.2464 2.6576 1.2527
Hf 1.1479 12.6651 16.2156
Hf 1.2215 7.6506 8.7175
Hf 5.4341 10.1932 12.4293
Hf 5.4377 -0.4273 19.9803
Hf 5.5096 5.1058 4.9550
Hf 5.5852 15.3458 8.7393
Hf 5.6258 4.8946 16.2015
Hf 5.7182 10.3734 1.2343
Ga 0.9264 7.6461 13.3409
Ga 1.0072 12.5342 20.8726
Ga 1.0809 2.3320 17.0957
Ga 1.1697 2.5452 5.7913
Ga 1.3033 7.8429 2.1825
Ga 1.2783 12.6651 9.5290
Ga 5.3923 -0.1526 13.3516
Ga 5.3922 4.7375 20.7589
Ga 5.5853 10.3086 5.8844
Ga 5.6348 0.0581 2.1299
Ga 5.5378 10.1386 17.0801
Ga 5.7467 4.9485 9.5156
Si 2.3565 0.1263 14.8186
Si 2.4656 5.1603 22.3716
Si 2.5468 10.6219 7.2555
Si 2.9304 -0.4645 22.3176
Si 2.9402 10.0056 14.8478
Si 3.0470 5.0656 7.3638
Si 3.6843 12.5632 18.6149
Si 3.7929 2.4881 3.6039
Si 4.1292 13.1649 11.1035
Si 4.1344 2.6024 18.5396
Si 4.3536 8.1554 3.5697
Si 6.7958 7.9117 14.8188
Si 6.8360 12.8814 22.3568
Si 6.9818 2.8393 7.2903
Si 7.4125 2.2209 14.8453
Si 7.4781 12.8187 7.3962
Si 8.0927 4.7937 18.6192
Si 8.2062 10.2612 3.6248
Si 8.6264 5.4077 11.0526
Si 8.6040 10.4281 18.5632
Si 8.7276 0.3627 3.5539
S 2.3520 4.6444 14.8204
S 2.3367 9.6748 22.3530
S 2.3920 15.1694 7.3770
S 3.6914 7.5646 11.1183
S 4.2360 7.1208 18.6168
S 4.2899 2.1797 11.0791
S 4.3237 12.6645 3.5578
S 6.8399 7.3985 7.3740
S 6.7914 12.4340 14.8146
S 6.8103 1.9233 22.2960
S 7.3807 7.3186 22.3145
S 8.1541 -0.2023 11.0944
S 8.6708 14.9247 18.6174
S 8.7727 4.9323 3.5958
S 8.7207 9.9629 11.0910
O 0.0447 14.1896 10.9986
O 0.0214 14.1160 17.4027
O 0.1336 4.1194 2.3849
O 0.0247 11.3263 19.8649
O 0.1047 1.0414 11.1502
O 0.0838 6.2322 12.4452
O 0.1497 1.1944 4.9263
O 0.0894 3.4549 18.4444
O 0.0874 6.1622 18.7258
O 0.1485 9.1694 9.8789
O 0.2610 11.6236 3.6640
O 0.3018 9.0033 3.3376
O 0.3708 1.1343 2.2130
O 0.3585 6.1855 9.7536
O 0.3366 9.3033 12.3306
O 0.2945 14.2928 19.8398
O 0.4322 4.3056 4.8245
O 0.3507 11.0894 17.2008
O 0.4088 11.3082 11.0434
O 0.4399 3.9177 11.1561
O 0.4432 0.6910 18.5271
O 0.5186 6.2619 3.4889
O 0.4943 14.4255 3.6352
O 0.4668 8.9364 18.7110
O 1.6837 9.1889 7.4214
O 1.6770 14.1761 14.9017
O 1.7431 4.0110 16.0132
O 1.8045 0.9461 7.2991
O 1.7570 5.9890 14.7088
O 1.8243 0.9478 13.5159
O 1.7514 11.0382 22.3292
O 1.8384 11.3569 5.9477
O 1.7923 3.6481 22.4224
O 1.8339 14.5046 8.5518
O 1.8315 5.9647 21.0930
O 1.9295 9.4996 1.0619
O 1.9336 8.7424 14.5826
O 1.9399 0.8495 22.4403
O 2.0011 6.3377 7.4697
O 1.9541 11.3572 14.9293
O 1.9481 13.7739 22.1416
O 2.0752 3.7345 7.2182
O 2.0174 8.9268 21.1086
O 2.1405 1.0182 16.1784
O 2.1446 3.8314 13.5913
O 2.1977 6.4828 1.2488
O 2.1869 14.4036 6.1241
O 2.2910 11.4780 8.6089
O 2.5013 13.0625 10.9257
O 2.5270 2.3471 18.4159
O 2.7032 7.9566 3.4948
O 2.7450 7.3429 18.6992
O 2.7393 12.8904 17.3050
O 2.7991 2.2761 11.1323
O 2.8424 2.8533 2.3146
O 2.7485 12.3325 19.9359
O 2.8372 12.7610 3.6622
O 2.8177 7.4825 12.2982
O 2.8834 2.3744 4.9648
O 2.8794 7.7963 9.8774
O 3.7747 -0.0714 20.9511
O 3.7899 9.8171 16.2314
O 3.8560 5.3549 5.9735
O 3.8335 4.7382 14.9473
O 3.9253 -0.1655 7.4643
O 3.8275 9.8262 22.3838
O 3.9207 10.4428 13.6201
O 4.0119 -0.0687 14.7398
O 4.0433 15.3320 1.0159
O 4.0877 4.8146 8.6003
O 4.1398 10.4258 7.1118
O 4.1052 4.9530 22.2048
O 4.3857 3.3791 19.9600
O 4.4603 6.3469 17.3771
O 4.5354 11.8700 2.2886
O 4.4852 13.9889 12.4952
O 4.5217 6.3776 10.9900
O 4.5494 9.1676 4.8103
O 4.5503 8.7997 11.1638
O 4.6245 1.3941 9.8596
O 4.5797 11.2183 18.4149
O 4.6814 3.8868 3.6379
O 4.5764 13.9402 18.6376
O 4.7008 1.1820 3.3874
O 4.8025 1.5124 12.3180
O 4.7719 6.4431 19.8093
O 4.8026 13.9930 9.8611
O 4.8122 3.3859 17.2625
O 4.8695 8.9010 2.1998
O 4.8542 11.6838 11.1770
O 4.8929 3.5234 11.0303
O 4.9277 12.0080 4.7209
O 4.9295 14.0006 3.4631
O 4.8765 8.4499 18.5603
O 5.0073 6.6564 3.6654
O 4.9583 1.1477 18.5966
O 6.0261 11.4369 22.4038
O 6.1473 6.3975 14.8916
O 6.2162 1.3852 7.4707
O 6.1413 13.7082 21.1030
O 6.1793 11.8007 16.0089
O 6.2556 3.6058 6.0414
O 6.1794 3.2630 22.2316
O 6.1982 13.7785 14.7076
O 6.3232 1.7365 0.9483
O 6.2836 8.7514 7.2795
O 6.2672 8.7365 13.5238
O 6.3009 6.7467 8.5715
O 6.4139 0.9545 14.5776
O 6.4189 3.5674 14.9372
O 6.5626 14.1871 7.5014
O 6.5263 6.1373 22.1923
O 6.5864 11.4791 7.2003
O 6.5245 8.5625 22.3636
O 6.5759 8.7959 16.1865
O 6.5841 11.6174 13.5893
O 6.5872 1.1567 21.0208
O 6.6492 6.5763 6.1514
O 6.7017 14.2809 1.2178
O 6.8798 3.8042 8.6006
O 6.9892 5.2934 10.9185
O 7.0021 10.1361 18.4216
O 7.1104 0.0923 3.4620
O 7.0411 4.5994 19.8484
O 7.2439 10.6687 2.3606
O 7.2577 -0.2756 12.2576
O 7.2356 10.0531 11.1510
O 7.1882 15.1377 18.6747
O 7.2389 5.1631 17.2574
O 7.3072 5.0956 3.6808
O 7.3380 10.0902 4.9855
O 7.3746 0.0303 9.8276
O 8.1792 7.5444 21.0582
O 8.2639 2.0474 16.2294
O 8.3535 7.7258 0.9917
O 8.2712 12.5280 14.9479
O 8.2938 2.0426 22.4006
O 8.3586 7.5471 7.4707
O 8.3475 13.2009 6.0375
O 8.3899 2.6709 13.6174
O 8.4490 7.7037 14.7404
O 8.4547 12.7782 22.1758
O 8.5226 12.6409 8.6367
O 8.6042 2.6379 7.1216
```


Record 2
Material: SiO2
Method: DFT, GGA-PBE
State: optimized geometry

Values from the calculation:
M_tot   0.000 μB/atom
Total energy after the MP2020 corrections   -8.365 eV per atom
Crystal system   monoclinic
Final energy   -7.907 eV per atom
Space-group type   No. 10
Energy relative to the elements   -3.257 eV per atom

The structure in extended XYZ format:
```
84
Lattice="12.5804 0.0000 0.0000 0.0000 8.5630 0.0000 -4.1788 0.0000 14.6471" Properties=species:S:1:pos:R:3 pbc="T T T"
Si -1.5211 1.6012 5.8845
Si -1.5211 6.9618 5.8845
Si -0.4391 2.7158 10.6570
Si -0.4391 5.8472 10.6570
Si 1.4615 2.6928 6.0506
Si 1.4615 5.8702 6.0506
Si 1.9759 1.5790 8.9300
Si 1.9759 6.9840 8.9300
Si 0.7787 1.5688 13.2152
Si 0.7787 6.9942 13.2152
Si 3.6446 1.5744 4.1250
Si 3.6446 6.9886 4.1250
Si 4.6944 2.6934 1.3901
Si 4.6944 5.8695 1.3901
Si 3.7071 2.6934 13.2570
Si 3.7071 5.8695 13.2570
Si 4.7570 1.5744 10.5220
Si 4.7570 6.9886 10.5220
Si 7.6228 1.5688 1.4319
Si 7.6228 6.9942 1.4319
Si 6.4257 1.5790 5.7171
Si 6.4257 6.9840 5.7171
Si 6.9401 2.6928 8.5964
Si 6.9401 5.8702 8.5964
Si 8.8406 2.7158 3.9901
Si 8.8406 5.8472 3.9901
Si 9.9227 1.6012 8.7626
Si 9.9227 6.9618 8.7626
O -2.0894 2.1212 7.3235
O -2.0894 6.4418 7.3235
O -2.4430 0.0000 8.8883
O -1.8531 2.3396 9.9602
O -1.8531 6.2234 9.9602
O 0.0503 1.9557 5.7489
O 0.0503 6.6073 5.7489
O -0.4427 4.2815 11.0708
O 1.2095 4.2815 6.2493
O -0.2780 1.8280 12.0119
O -0.2780 6.7350 12.0119
O 0.7915 2.4360 9.6300
O 0.7915 6.1270 9.6300
O 2.4577 2.4499 4.7944
O 2.4577 6.1131 4.7944
O 1.5754 0.0000 8.9728
O 2.1468 2.0673 7.3908
O 2.1468 6.4957 7.3908
O 0.0952 1.9662 14.6394
O 0.0952 6.5968 14.6394
O 3.2442 0.0000 4.1717
O 3.8096 2.0479 2.5825
O 3.8096 6.5151 2.5825
O 4.3925 4.2815 1.2844
O 1.2119 0.0000 13.2255
O 2.1144 2.4721 12.9645
O 2.1144 6.0909 12.9645
O 3.3711 1.8306 9.7119
O 3.3711 6.7324 9.7119
O 5.0305 1.8306 4.9352
O 5.0305 6.7324 4.9352
O 6.2871 2.4721 1.6826
O 6.2871 6.0909 1.6826
O 7.1897 0.0000 1.4215
O 4.0090 4.2815 13.3626
O 4.5919 2.0479 12.0646
O 4.5919 6.5151 12.0646
O 5.1573 0.0000 10.4754
O 8.3063 1.9662 0.0077
O 8.3063 6.5968 0.0077
O 6.2547 2.0673 7.2563
O 6.2547 6.4957 7.2563
O 6.8261 0.0000 5.6742
O 5.9438 2.4499 9.8527
O 5.9438 6.1131 9.8527
O 7.6100 2.4360 5.0171
O 7.6100 6.1270 5.0171
O 8.6795 1.8280 2.6352
O 8.6795 6.7350 2.6352
O 7.1920 4.2815 8.3978
O 8.8442 4.2815 3.5763
O 8.3513 1.9557 8.8982
O 8.3513 6.6073 8.8982
O 10.2546 2.3396 4.6869
O 10.2546 6.2234 4.6869
O 10.8445 0.0000 5.7588
```


Record 3
Material: GdAsS
Method: DFT, GGA-PBE
State: optimized geometry

Values from the calculation:
Total energy after the MP2020 corrections   -9.361 eV per atom
Crystal system   orthorhombic
Final energy   -9.194 eV per atom
Space-group type   No. 62
Energy relative to the elements   -1.738 eV per atom

The structure in extended XYZ format:
```
12
Lattice="17.1301 0.0000 0.0000 0.0000 3.8606 0.0000 0.0000 0.0000 3.8747" Properties=species:S:1:pos:R:3 pbc="T T T"
Gd 2.5030 0.9651 0.8395
Gd 6.0620 2.8954 2.7769
Gd 11.0681 0.9651 1.0979
Gd 14.6271 2.8954 3.0352
As 0.0352 0.9651 2.7705
As 8.5299 2.8954 0.8331
As 8.6002 0.9651 3.0416
As 17.0949 2.8954 1.1042
S 3.1842 2.8954 2.7800
S 5.3809 0.9651 0.8426
S 11.7492 2.8954 3.0322
S 13.9459 0.9651 1.0948
```